Mn | GGA-PBE | optimized geometry

Cell and atoms, written as POSCAR:
```
Mn
1.0
-5.575 -5.575 0.000
-5.575 0.000 -5.575
0.000 -5.575 -5.575
Mn
22
direct
0.367 0.367 0.367
0.802 0.198 0.802
0.518 0.161 0.161
0.198 0.802 0.802
0.161 0.518 0.161
0.161 0.161 0.161
0.280 0.573 0.573
0.573 0.573 0.280
0.674 0.674 0.978
0.573 0.573 0.573
0.573 0.280 0.573
0.198 0.198 0.802
0.198 0.802 0.198
0.802 0.198 0.198
0.978 0.674 0.674
0.674 0.978 0.674
0.674 0.674 0.674
0.161 0.161 0.518
0.367 0.900 0.367
0.367 0.367 0.900
0.900 0.367 0.367
0.802 0.802 0.198
```

## Properties
For the total energy, the calculation gives -183.82 eV for the cell shown. Its symmetry is F-43m. The value obtained for the polymorph energy (0 for the lowest one) is 77.8 kJ per mole of atoms. For the energy of formation from the pure elements, the calculation gives 0.8 eV per formula unit. As for the volume: 15.756 A^3/atom. The density comes out at 5.79 g cm⁻³.